(1)
## LiZnCo4O8 (PBE+U)

Data for a relaxed structure of LiZnCo4O8.

Lattice parameters (Å, degrees): 2.9557 7.5121 7.7262 66.62 78.18 80.18
Atoms (fractional coordinates):
Li: 0.2622 0.1756 0.2498
Zn: 0.4870 0.0220 0.9765
Co: 0.5784 0.2202 0.5834
Co: 0.1072 0.5832 0.2020
Co: 0.8626 0.4170 0.8790
Co: 0.2814 0.8548 0.6215
O: 0.8403 0.6770 0.7060
O: 0.4552 0.3587 0.7484
O: 0.5431 0.7486 0.1584
O: 0.0624 0.3645 0.4162
O: 0.1420 0.0344 0.7572
O: 0.8753 0.1613 0.0610
O: 0.7466 0.0305 0.4646
O: 0.2606 0.4719 0.0139

(2)
## LiZnCo4O8 (PBE+U)

Data for a relaxed structure of LiZnCo4O8.

Lattice parameters (Å, degrees): 2.9051 7.4543 7.3982 78.42 78.68 78.81
Atoms (fractional coordinates):
Li: 0.4994 0.4871 0.5237
Zn: 0.3263 0.1492 0.1967
Co: 0.6358 0.1588 0.5686
Co: 0.1377 0.5296 0.1921
Co: 0.8361 0.4785 0.8439
Co: 0.3416 0.8206 0.4931
O: 0.8646 0.6528 0.6145
O: 0.4439 0.3394 0.7665
O: 0.5264 0.6536 0.2905
O: 0.1269 0.3124 0.4339
O: 0.1693 0.0032 0.6573
O: 0.7848 0.3368 0.0906
O: 0.8360 0.9874 0.3401
O: 0.2257 0.6103 0.9334

(3)
## LiZnCo4O8 (PBE+U)

Data for a relaxed structure of LiZnCo4O8.

Lattice parameters (Å, degrees): 2.9670 7.0698 7.5279 74.51 78.76 78.00
Atoms (fractional coordinates):
Li: 0.5158 0.0821 0.8823
Zn: 0.3231 0.1477 0.2088
Co: 0.6192 0.2192 0.5468
Co: 0.0559 0.6056 0.2188
Co: 0.8505 0.4539 0.8520
Co: 0.3104 0.8322 0.5476
O: 0.8151 0.6936 0.6783
O: 0.4581 0.3700 0.7197
O: 0.4812 0.7383 0.2832
O: 0.1323 0.3464 0.3939
O: 0.1304 0.0669 0.6777
O: 0.8945 0.1917 0.0229
O: 0.7861 0.0194 0.4086
O: 0.2361 0.5428 0.9956

(4)
## LiZnCo4O8 (PBE+U)

Data for a relaxed structure of LiZnCo4O8.

Lattice parameters (Å, degrees): 2.9065 7.4274 7.5588 69.67 88.55 81.82
Atoms (fractional coordinates):
Li: 0.8574 0.5489 0.5077
Zn: 0.5506 0.9926 0.1795
Co: 0.5692 0.2056 0.5532
Co: 0.0151 0.5687 0.1664
Co: 0.9460 0.3900 0.8700
Co: 0.2594 0.8468 0.5989
O: 0.8269 0.6806 0.6925
O: 0.4665 0.3746 0.6891
O: 0.5154 0.7102 0.2465
O: 0.0246 0.3421 0.4005
O: 0.1153 0.0639 0.6943
O: 0.0061 0.1468 0.0369
O: 0.6787 0.9998 0.4425
O: 0.4234 0.4892 0.0190

Which is the most stable structure? (1) is the most stable.

(1)
## MgMn2CoO6 (PBE+U)

Data for a relaxed structure of MgMn2CoO6.

Lattice parameters (Å, degrees): 6.4985 2.9862 6.0815 85.97 101.67 76.98
Atoms (fractional coordinates):
Mg: 0.6522 0.6742 0.1581
Mn: 0.0149 0.0081 0.9896
Mn: 0.6755 0.6655 0.6567
Co: 0.3115 0.3108 0.3599
O: 0.9958 0.4935 0.1973
O: 0.3623 0.8033 0.5731
O: 0.6963 0.1942 0.9172
O: 0.3195 0.8255 0.1227
O: 0.6539 0.1379 0.4045
O: 0.9917 0.5454 0.7780

(2)
## MgMn2CoO6 (PBE+U)

Data for a relaxed structure of MgMn2CoO6.

Lattice parameters (Å, degrees): 6.5613 2.9201 5.7343 90.01 101.76 77.12
Atoms (fractional coordinates):
Mg: 0.3504 0.3240 0.8414
Mn: 0.9885 0.0049 0.0257
Mn: 0.6935 0.6525 0.6151
Co: 0.3209 0.3387 0.3435
O: 0.0078 0.4955 0.2505
O: 0.3378 0.8304 0.5762
O: 0.6875 0.1557 0.8613
O: 0.3029 0.8475 0.1077
O: 0.6236 0.1872 0.3921
O: 0.0207 0.4886 0.8102

Which is the most stable structure? (2) is the most stable.

(1)
## MgMnCo3O8 (PBE+U)

Data for a relaxed structure of MgMnCo3O8.

Lattice parameters (Å, degrees): 5.9795 5.8441 5.7981 62.11 120.26 120.55
Atoms (fractional coordinates):
Mg: 0.9058 0.1696 0.6588
Mn: 0.5360 0.5376 0.5331
Co: 0.5382 0.5397 0.0419
Co: 0.5314 0.0331 0.0318
Co: 0.0449 0.5464 0.0461
O: 0.7688 0.7537 0.8062
O: 0.7721 0.3141 0.7887
O: 0.3212 0.7599 0.8362
O: 0.3229 0.3070 0.7884
O: 0.7416 0.7583 0.2847
O: 0.7597 0.3067 0.2471
O: 0.3102 0.7611 0.2953
O: 0.3162 0.3318 0.2666

(2)
## MgMnCo3O8 (PBE+U)

Data for a relaxed structure of MgMnCo3O8.

Lattice parameters (Å, degrees): 5.9332 5.8160 5.9158 61.32 61.37 57.41
Atoms (fractional coordinates):
Mg: 0.5000 0.5000 0.5000
Mn: 0.0000 0.0000 0.0000
Co: 0.5000 0.0000 0.0000
Co: 0.0000 0.5000 0.0000
Co: 0.5000 0.5000 0.0000
O: 0.2581 0.2556 0.7826
O: 0.7176 0.2309 0.7965
O: 0.2556 0.7339 0.7885
O: 0.7138 0.7268 0.8128
O: 0.2862 0.2732 0.1872
O: 0.7444 0.2661 0.2115
O: 0.2824 0.7691 0.2035
O: 0.7419 0.7444 0.2174

Which is the most stable structure? (2) is the most stable.

(1)
## MgMnCo3O8 (PBE+U)

Data for a relaxed structure of MgMnCo3O8.

Lattice parameters (Å, degrees): 5.9073 5.7423 6.0722 61.28 123.26 120.24
Atoms (fractional coordinates):
Mg: 0.0000 0.0000 0.0000
Mn: 0.5000 0.5000 0.5000
Co: 0.5000 0.5000 0.0000
Co: 0.5000 0.0000 0.0000
Co: 0.0000 0.5000 0.0000
O: 0.7562 0.7153 0.7672
O: 0.7247 0.2394 0.7820
O: 0.2442 0.7214 0.8108
O: 0.2735 0.2358 0.8000
O: 0.7266 0.7642 0.2000
O: 0.7558 0.2786 0.1892
O: 0.2753 0.7606 0.2180
O: 0.2438 0.2847 0.2328

(2)
## MgMnCo3O8 (PBE+U)

Data for a relaxed structure of MgMnCo3O8.

Lattice parameters (Å, degrees): 2.8729 2.9694 19.6600 83.67 83.88 61.29
Atoms (fractional coordinates):
Mg: 0.1544 0.9819 0.8698
Mn: 0.0099 0.0636 0.0097
Co: 0.5018 0.4987 0.2509
Co: 0.9986 0.0018 0.4989
Co: 0.5204 0.4525 0.7394
O: 0.1916 0.1866 0.2048
O: 0.6440 0.7254 0.0562
O: 0.2062 0.1426 0.6981
O: 0.3532 0.3609 0.4529
O: 0.8119 0.8109 0.2969
O: 0.6440 0.6426 0.5449
O: 0.4453 0.2969 0.9379
O: 0.8521 0.6688 0.8129

(3)
## MgMnCo3O8 (PBE+U)

Data for a relaxed structure of MgMnCo3O8.

Lattice parameters (Å, degrees): 5.6243 5.9213 5.7831 71.60 60.95 61.64
Atoms (fractional coordinates):
Mg: 0.7561 0.9905 0.4971
Mn: 0.0261 0.9866 0.9613
Co: 0.4913 0.9913 0.0263
Co: 0.0103 0.4889 0.9974
Co: 0.5034 0.4889 0.9974
O: 0.3145 0.1381 0.7747
O: 0.7725 0.1381 0.7747
O: 0.2612 0.6721 0.8050
O: 0.7401 0.6920 0.8274
O: 0.2596 0.2995 0.1816
O: 0.7720 0.2882 0.1681
O: 0.2101 0.8400 0.2133
O: 0.7369 0.8400 0.2132

(4)
## MgMnCo3O8 (PBE+U)

Data for a relaxed structure of MgMnCo3O8.

Lattice parameters (Å, degrees): 5.8622 5.7536 5.8328 60.28 120.79 119.83
Atoms (fractional coordinates):
Mg: 0.0000 0.0000 0.5000
Mn: 0.5000 0.5000 0.5000
Co: 0.5000 0.5000 0.0000
Co: 0.5000 0.0000 0.0000
Co: 0.0000 0.5000 0.0000
O: 0.7535 0.7198 0.7529
O: 0.7352 0.2633 0.7730
O: 0.2438 0.7403 0.7883
O: 0.2915 0.2626 0.7548
O: 0.7085 0.7374 0.2452
O: 0.7562 0.2597 0.2117
O: 0.2648 0.7367 0.2270
O: 0.2465 0.2802 0.2471

Which is the most stable structure? (3) is the most stable.

(1)
## Mg6MnCoO8 (PBE+U)

Data for a relaxed structure of Mg6MnCoO8.

Lattice parameters (Å, degrees): 8.6588 4.2842 4.2842 90.00 90.00 90.00
Atoms (fractional coordinates):
Mg: 0.0000 0.5000 0.5000
Mg: 0.5000 0.5000 0.5000
Mg: 0.2528 0.0000 0.5000
Mg: 0.7472 0.0000 0.5000
Mg: 0.2528 0.5000 0.0000
Mg: 0.7472 0.5000 0.0000
Mn: 0.0000 0.0000 0.0000
Co: 0.5000 0.0000 0.0000
O: 0.2532 0.0000 0.0000
O: 0.7468 0.0000 0.0000
O: 0.2514 0.5000 0.5000
O: 0.7486 0.5000 0.5000
O: 0.0000 0.0000 0.5000
O: 0.5000 0.0000 0.5000
O: 0.0000 0.5000 0.0000
O: 0.5000 0.5000 0.0000

(2)
## Mg6MnCoO8 (PBE+U)

Data for a relaxed structure of Mg6MnCoO8.

Lattice parameters (Å, degrees): 8.6421 4.2771 4.2771 90.00 90.00 90.00
Atoms (fractional coordinates):
Mg: 0.5000 0.0000 0.0000
Mg: 0.5000 0.5000 0.5000
Mg: 0.2519 0.0000 0.5000
Mg: 0.7481 0.0000 0.5000
Mg: 0.2519 0.5000 0.0000
Mg: 0.7481 0.5000 0.0000
Mn: 0.0000 0.0000 0.0000
Co: 0.0000 0.5000 0.5000
O: 0.2565 0.0000 0.0000
O: 0.7435 0.0000 0.0000
O: 0.2537 0.5000 0.5000
O: 0.7463 0.5000 0.5000
O: 0.0000 0.0000 0.5000
O: 0.5000 0.0000 0.5000
O: 0.0000 0.5000 0.0000
O: 0.5000 0.5000 0.0000

Which is the most stable structure? (1) is the most stable.

(1)
## MgMn3CoO8 (PBE+U)

Data for a relaxed structure of MgMn3CoO8.

Lattice parameters (Å, degrees): 5.6955 5.8570 5.8571 59.66 63.54 63.54
Atoms (fractional coordinates):
Mg: 0.5000 0.0000 0.0000
Mn: 0.5000 0.0000 0.5000
Mn: 0.5000 0.5000 0.0000
Mn: 0.0000 0.5000 0.5000
Co: 0.5000 0.5000 0.5000
O: 0.2955 0.2339 0.2340
O: 0.6985 0.2771 0.2771
O: 0.2797 0.7005 0.2459
O: 0.2797 0.2459 0.7005
O: 0.7203 0.7541 0.2995
O: 0.7203 0.2995 0.7541
O: 0.3015 0.7229 0.7229
O: 0.7045 0.7661 0.7660

(2)
## MgMn3CoO8 (PBE+U)

Data for a relaxed structure of MgMn3CoO8.

Lattice parameters (Å, degrees): 5.8490 5.9730 5.8536 60.00 60.67 60.03
Atoms (fractional coordinates):
Mg: 0.0000 0.0000 0.0000
Mn: 0.5000 0.0000 0.5000
Mn: 0.5000 0.5000 0.0000
Mn: 0.0000 0.5000 0.5000
Co: 0.5000 0.5000 0.5000
O: 0.2624 0.2705 0.2628
O: 0.7167 0.2431 0.2496
O: 0.2562 0.7047 0.2559
O: 0.2501 0.2434 0.7162
O: 0.7499 0.7566 0.2838
O: 0.7438 0.2953 0.7441
O: 0.2833 0.7569 0.7504
O: 0.7376 0.7295 0.7372

Which is the most stable structure? (1) is the most stable.

(1)
## MgMn3CoO8 (PBE+U)

Data for a relaxed structure of MgMn3CoO8.

Lattice parameters (Å, degrees): 5.8027 5.8195 5.8195 60.46 62.50 62.50
Atoms (fractional coordinates):
Mg: 0.8718 0.8849 0.8849
Mn: 0.4967 0.0077 0.4977
Mn: 0.4967 0.4977 0.0077
Mn: 0.0042 0.5001 0.5001
Co: 0.4972 0.4994 0.4994
O: 0.2968 0.2397 0.2397
O: 0.6988 0.2731 0.2731
O: 0.2744 0.6973 0.2561
O: 0.2744 0.2561 0.6973
O: 0.7318 0.7437 0.2959
O: 0.7318 0.2959 0.7437
O: 0.2869 0.7339 0.7339
O: 0.7136 0.7560 0.7561

(2)
## MgMn3CoO8 (PBE+U)

Data for a relaxed structure of MgMn3CoO8.

Lattice parameters (Å, degrees): 5.8897 6.0454 5.8250 118.76 120.33 60.85
Atoms (fractional coordinates):
Mg: 0.5000 0.5000 0.5000
Mn: 0.0000 0.0000 0.5000
Mn: 0.5000 0.0000 0.0000
Mn: 0.5000 0.0000 0.5000
Co: 0.0000 0.0000 0.0000
O: 0.2917 0.2109 0.2496
O: 0.2665 0.1970 0.7301
O: 0.7475 0.2104 0.2489
O: 0.7576 0.2023 0.7177
O: 0.2424 0.7977 0.2823
O: 0.2525 0.7896 0.7511
O: 0.7335 0.8030 0.2699
O: 0.7083 0.7891 0.7504

Which is the most stable structure? (2) is the most stable.

(1)
## Na2MgCo2O4 (PBE+U)

Data for a relaxed structure of Na2MgCo2O4.

Lattice parameters (Å, degrees): 3.1602 5.8244 6.2685 85.74 77.35 90.35
Atoms (fractional coordinates):
Na: 0.2687 0.0491 0.4547
Na: 0.5159 0.8004 0.8412
Mg: 0.8980 0.1719 0.0287
Co: 0.2257 0.6339 0.2660
Co: 0.6085 0.4382 0.6017
O: 0.1226 0.6542 0.6051
O: 0.4813 0.1916 0.8316
O: 0.8665 0.3392 0.2979
O: 0.7837 0.8360 0.1566

(2)
## Na2MgCo2O4 (PBE+U)

Data for a relaxed structure of Na2MgCo2O4.

Lattice parameters (Å, degrees): 3.1144 7.1387 5.2755 92.91 92.07 108.11
Atoms (fractional coordinates):
Na: 0.4425 0.0633 0.3775
Na: 0.8138 0.8716 0.7879
Mg: 0.0784 0.3010 0.9892
Co: 0.1412 0.6614 0.1918
Co: 0.6306 0.4443 0.6160
O: 0.2242 0.5693 0.8109
O: 0.4654 0.1714 0.7918
O: 0.6879 0.3895 0.2550
O: 0.7661 0.8301 0.2772

Which is the most stable structure? (1) is the most stable.